[1]
DFT (PBE) results for crystalline Dy2Ga9Co3 at its relaxed geometry.

Output
E_form in eV/atom: -0.488
Crystal system: orthorhombic

Lattice parameters (Å, degrees): 7.368 7.368 9.409 90.00 90.00 119.84
Atoms (fractional coordinates):
Dy: 0.332 0.003 0.250
Dy: 0.997 0.668 0.750
Dy: 0.668 0.997 0.750
Dy: 0.003 0.332 0.250
Ga: 0.334 0.000 0.928
Ga: 0.000 0.666 0.072
Ga: 0.334 0.000 0.572
Ga: 0.000 0.666 0.428
Ga: 0.666 0.000 0.072
Ga: 0.000 0.334 0.928
Ga: 0.666 0.000 0.428
Ga: 0.000 0.334 0.572
Ga: 0.666 0.666 0.943
Ga: 0.334 0.334 0.057
Ga: 0.666 0.666 0.557
Ga: 0.334 0.334 0.443
Ga: 0.121 0.121 0.750
Ga: 0.879 0.879 0.250
Ga: 0.450 0.664 0.250
Ga: 0.336 0.550 0.750
Ga: 0.550 0.336 0.750
Ga: 0.664 0.450 0.250
Co: 0.000 0.000 0.000
Co: 0.000 0.000 0.500
Co: 0.329 0.671 0.000
Co: 0.329 0.671 0.500
Co: 0.671 0.329 0.000
Co: 0.671 0.329 0.500



[2]
DFT (PBE) results for crystalline Na8Sc2Zn2Si3S3O24 at its relaxed geometry.

Output
E_form in eV/atom: -2.508
Crystal system: triclinic

Lattice parameters (Å, degrees): 9.168 9.228 22.377 90.13 89.31 120.07
Atoms (fractional coordinates):
Na: 0.641 0.021 0.260
Na: 0.353 0.347 0.253
Na: 0.000 0.625 0.243
Na: 0.627 0.625 0.734
Na: 0.992 0.350 0.737
Na: 0.385 0.025 0.751
Na: 0.306 0.351 0.592
Na: 0.021 0.680 0.585
Na: 0.668 0.957 0.580
Na: 0.287 0.947 0.081
Na: 0.672 0.695 0.081
Na: 0.032 0.347 0.093
Na: 0.983 0.689 0.916
Na: 0.689 0.026 0.902
Na: 0.322 0.278 0.904
Na: 0.954 0.278 0.415
Na: 0.336 0.029 0.409
Na: 0.699 0.683 0.428
Na: 0.977 0.997 0.502
Na: 0.009 0.988 0.995
Na: 0.648 0.316 0.821
Na: 0.666 0.312 0.331
Na: 0.310 0.664 0.169
Na: 0.339 0.654 0.662
Sc: 0.992 0.012 0.648
Sc: 0.011 0.001 0.153
Sc: 0.667 0.335 0.982
Sc: 0.677 0.332 0.487
Sc: 0.334 0.680 0.314
Sc: 0.344 0.679 0.812
Zn: 0.000 0.015 0.345
Zn: 0.014 0.015 0.836
Zn: 0.671 0.337 0.680
Zn: 0.682 0.329 0.188
Zn: 0.304 0.675 0.012
Zn: 0.354 0.665 0.521
Si: 0.299 0.004 0.251
Si: 0.003 0.300 0.250
Si: 0.303 0.301 0.751
Si: 0.707 0.003 0.753
Si: 0.971 0.341 0.584
Si: 0.671 0.629 0.584
Si: 0.959 0.628 0.084
Si: 0.330 0.968 0.918
Si: 0.632 0.963 0.417
S: 0.702 0.704 0.251
S: 0.002 0.707 0.753
S: 0.368 0.036 0.584
S: 0.667 0.034 0.083
S: 0.370 0.335 0.083
S: 0.622 0.662 0.921
S: 0.038 0.371 0.920
S: 0.335 0.371 0.416
S: 0.035 0.665 0.417
O: 0.210 0.028 0.311
O: 0.806 0.782 0.304
O: 0.965 0.185 0.309
O: 0.230 0.190 0.812
O: 0.981 0.785 0.808
O: 0.813 0.021 0.814
O: 0.793 0.967 0.695
O: 0.179 0.205 0.694
O: 0.027 0.812 0.700
O: 0.784 0.809 0.196
O: 0.026 0.207 0.190
O: 0.181 0.970 0.192
O: 0.886 0.371 0.643
O: 0.471 0.113 0.638
O: 0.638 0.512 0.642
O: 0.867 0.513 0.143
O: 0.638 0.109 0.137
O: 0.468 0.353 0.138
O: 0.455 0.311 0.030
O: 0.844 0.537 0.024
O: 0.687 0.139 0.029
O: 0.451 0.142 0.529
O: 0.690 0.537 0.523
O: 0.849 0.305 0.525
O: 0.537 0.676 0.975
O: 0.139 0.448 0.975
O: 0.304 0.865 0.980
O: 0.541 0.847 0.476
O: 0.313 0.451 0.470
O: 0.134 0.683 0.470
O: 0.119 0.644 0.362
O: 0.516 0.872 0.357
O: 0.352 0.471 0.361
O: 0.121 0.476 0.867
O: 0.361 0.872 0.862
O: 0.519 0.641 0.867
O: 0.015 0.814 0.412
O: 0.821 0.980 0.413
O: 0.186 0.199 0.414
O: 0.011 0.201 0.917
O: 0.160 0.984 0.913
O: 0.792 0.811 0.917
O: 0.990 0.171 0.586
O: 0.200 0.022 0.588
O: 0.849 0.813 0.587
O: 0.977 0.817 0.086
O: 0.826 0.027 0.086
O: 0.198 0.181 0.085
O: 0.688 0.169 0.748
O: 0.493 0.327 0.745
O: 0.852 0.538 0.750
O: 0.678 0.534 0.244
O: 0.839 0.327 0.248
O: 0.485 0.175 0.244
O: 0.639 0.507 0.922
O: 0.867 0.359 0.924
O: 0.505 0.158 0.922
O: 0.645 0.150 0.419
O: 0.492 0.359 0.419
O: 0.864 0.510 0.418
O: 0.354 0.486 0.077
O: 0.149 0.644 0.082
O: 0.523 0.861 0.078
O: 0.346 0.867 0.578
O: 0.508 0.658 0.583
O: 0.157 0.510 0.576
O: 0.319 0.835 0.254
O: 0.533 0.689 0.254
O: 0.179 0.484 0.254
O: 0.309 0.484 0.757
O: 0.156 0.689 0.757
O: 0.516 0.832 0.755



[3]
DFT (PBE) results for crystalline Hg3S2Cl2 at its relaxed geometry.

Output
Polymorph energy (0 for the lowest one) in meV per atom: 0.0
E_form in eV/atom: -0.707
Maximum piezoelectric response in C/m²: 0.4
Crystal system: cubic

Lattice parameters (Å, degrees): 7.986 7.986 7.986 109.47 109.47 109.47
Atoms (fractional coordinates):
Hg: 0.947 0.250 0.197
Hg: 0.750 0.303 0.553
Hg: 0.197 0.947 0.250
Hg: 0.250 0.197 0.947
Hg: 0.303 0.553 0.750
Hg: 0.553 0.750 0.303
S: 0.000 0.524 0.500
S: 0.976 0.976 0.976
S: 0.524 0.500 0.000
S: 0.500 0.000 0.524
Cl: 0.000 0.011 0.500
Cl: 0.489 0.489 0.489
Cl: 0.500 0.000 0.011
Cl: 0.011 0.500 0.000



[4]
DFT (PBE) results for crystalline LiCu3 at its relaxed geometry.

Output
E_form in eV/atom: -0.033
Crystal system: cubic

Lattice parameters (Å, degrees): 3.609 3.609 3.609 90.00 90.00 90.00
Atoms (fractional coordinates):
Li: 0.000 0.000 0.000
Cu: 0.500 0.000 0.500
Cu: 0.000 0.500 0.500
Cu: 0.500 0.500 0.000



[5]
DFT (PBE) results for crystalline AlFe2N3 at its relaxed geometry.

Output
E_form in eV/atom: -0.444
Crystal system: orthorhombic

Lattice parameters (Å, degrees): 5.334 5.227 4.965 90.00 90.00 119.34
Atoms (fractional coordinates):
Al: 0.000 0.668 0.500
Al: 0.000 0.332 0.000
Fe: 0.351 0.345 0.489
Fe: 0.649 0.993 0.489
Fe: 0.649 0.655 0.989
Fe: 0.351 0.007 0.989
N: 0.327 0.325 0.858
N: 0.673 0.998 0.858
N: 0.673 0.675 0.358
N: 0.327 0.002 0.358
N: 0.000 0.673 0.879
N: 0.000 0.327 0.379



[6]
DFT (PBE) results for crystalline Mg14CdMo at its relaxed geometry.

Output
Polymorph energy (0 for the lowest one) in meV per atom: 8.3
E_form in eV/atom: 0.087
Crystal system: orthorhombic

Lattice parameters (Å, degrees): 6.296 6.319 9.943 90.00 90.00 120.12
Atoms (fractional coordinates):
Mg: 0.167 0.333 0.625
Mg: 0.169 0.834 0.625
Mg: 0.668 0.332 0.125
Mg: 0.666 0.331 0.625
Mg: 0.668 0.836 0.125
Mg: 0.666 0.834 0.625
Mg: 0.327 0.171 0.365
Mg: 0.327 0.171 0.885
Mg: 0.327 0.656 0.365
Mg: 0.327 0.656 0.885
Mg: 0.844 0.172 0.368
Mg: 0.844 0.172 0.882
Mg: 0.834 0.667 0.374
Mg: 0.834 0.667 0.876
Cd: 0.166 0.833 0.125
Mo: 0.165 0.333 0.125



[7]
DFT (PBE) results for crystalline K2PtO6 at its relaxed geometry.

Output
Polymorph energy (0 for the lowest one) in meV per atom: 0.0
E_form in eV/atom: -0.951
Crystal system: trigonal

Lattice parameters (Å, degrees): 4.946 4.946 4.946 83.34 83.34 83.34
Atoms (fractional coordinates):
K: 0.349 0.349 0.349
K: 0.651 0.651 0.651
Pt: 0.000 0.000 0.000
O: 0.074 0.901 0.407
O: 0.407 0.074 0.901
O: 0.901 0.407 0.074
O: 0.926 0.099 0.593
O: 0.593 0.926 0.099
O: 0.099 0.593 0.926



[8]
DFT (PBE) results for crystalline Cu8O at its relaxed geometry.

Output
Polymorph energy (0 for the lowest one) in meV per atom: 0.0
E_form in eV/atom: -0.097
Crystal system: orthorhombic

Lattice parameters (Å, degrees): 4.418 4.418 5.437 90.00 90.00 91.32
Atoms (fractional coordinates):
Cu: 0.788 0.788 0.500
Cu: 0.212 0.212 0.500
Cu: 0.812 0.812 0.000
Cu: 0.188 0.188 0.000
Cu: 0.276 0.724 0.273
Cu: 0.276 0.724 0.727
Cu: 0.724 0.276 0.727
Cu: 0.724 0.276 0.273
O: 0.500 0.500 0.000



[9]
DFT (PBE) results for crystalline YZrO3 at its relaxed geometry.

Output
E_form in eV/atom: -3.654
Crystal system: monoclinic

Lattice parameters (Å, degrees): 9.051 9.051 10.448 54.79 54.79 70.18
Atoms (fractional coordinates):
Y: 0.718 0.239 0.758
Y: 0.761 0.282 0.242
Y: 0.220 0.739 0.283
Y: 0.527 0.473 0.000
Y: 0.024 0.976 0.000
Y: 0.741 0.722 0.539
Y: 0.278 0.259 0.461
Y: 0.261 0.780 0.717
Zr: 0.503 0.018 0.718
Zr: 0.779 0.762 0.000
Zr: 0.238 0.221 0.000
Zr: 0.492 0.508 0.500
Zr: 0.990 0.010 0.500
Zr: 0.479 0.994 0.239
Zr: 0.006 0.521 0.761
Zr: 0.982 0.497 0.282
O: 0.982 0.254 0.518
O: 0.453 0.247 0.010
O: 0.743 0.515 0.278
O: 0.485 0.257 0.722
O: 0.243 0.007 0.466
O: 0.994 0.239 0.993
O: 0.227 0.474 0.542
O: 0.041 0.283 0.217
O: 0.717 0.959 0.783
O: 0.238 0.504 0.783
O: 0.496 0.762 0.217
O: 0.746 0.018 0.482
O: 0.790 0.456 0.760
O: 0.544 0.210 0.240
O: 0.280 0.976 0.001
O: 0.753 0.547 0.990
O: 0.253 0.035 0.725
O: 0.965 0.747 0.275
O: 0.993 0.757 0.534
O: 0.761 0.006 0.007
O: 0.260 0.514 0.217
O: 0.486 0.740 0.783
O: 0.526 0.773 0.458
O: 0.024 0.720 0.999